(1)
## MgTi4O8 (PBE)

Data for MgTi4O8 after structural relaxation.

Cell: 4.891 4.940 5.752 Å, 90.00 90.00 91.45°
Atoms (fractional coordinates):
Mg  0.000  0.750  0.404
Ti  0.500  0.750  0.329
Ti  0.000  0.250  0.125
Ti  0.500  0.250  0.671
Ti  0.000  0.750  0.871
O  0.738  0.069  0.369
O  0.223  0.912  0.135
O  0.777  0.588  0.135
O  0.262  0.431  0.369
O  0.728  0.585  0.618
O  0.235  0.412  0.868
O  0.765  0.088  0.868
O  0.272  0.915  0.618

energy of formation = -3.197 eV per atom
final energy = -8.372 eV per atom
V = 10.7 Å³ per atom
space group = P2

(2)
## MgTi4O8 (PBE)

Data for MgTi4O8 after structural relaxation.

Cell: 5.380 5.306 5.386 Å, 108.19 73.35 108.97°
Atoms (fractional coordinates):
Mg  0.852  0.570  0.200
Ti  0.726  0.316  0.678
Ti  0.117  0.093  0.067
Ti  0.350  0.700  0.439
Ti  0.588  0.826  0.938
O  0.720  0.944  0.301
O  0.551  0.534  0.569
O  0.409  0.007  0.751
O  0.467  0.457  0.062
O  0.936  0.706  0.842
O  0.232  0.879  0.225
O  0.033  0.396  0.381
O  0.881  0.197  0.898

energy of formation = -3.262 eV per atom
final energy = -8.437 eV per atom
V = 10.4 Å³ per atom
space group = P1

Which formula does entry 1 have? MgTi4O8